Here is a relaxed PrSm3S4 crystal from the Materials Project. Energies are from r²SCAN.

The space group is R-3m (No. 166, hexagonal axes) and the conventional cell measures 4.0206, 4.0206 and 39.6543 Å, with angles of 90.00, 90.00 and 120.00 degrees. Symmetry generates all atoms from Pr at (0.0000, 0.0000, 0.0000), Sm at (0.0000, 0.0000, 0.2492), Sm at (0.0000, 0.0000, 0.5000), S at (0.0000, 0.0000, 0.1254) and S at (0.0000, 0.0000, 0.3770).

Here is a relaxed Pr2ThS5 crystal from the Materials Project. Energies are from r²SCAN.

The space group is Pnma (No. 62) and the conventional cell measures 12.141, 8.292 and 7.615 Å, with angles of 90.00, 90.00 and 90.00 degrees. Symmetry generates all atoms from Pr at (0.178, 0.000, 0.020), Th at (0.009, 0.250, 0.574), S at (0.001, 0.250, 0.957), S at (0.099, 0.542, 0.662), S at (0.187, 0.250, 0.329) and S at (0.216, 0.750, 0.302).

Here is a relaxed PrTm3S6 crystal from the Materials Project. Energies are from r²SCAN.

The space group is P2_1/m (No. 11) and the conventional cell measures 10.979, 3.949 and 11.232 Å, with angles of 90.00, 108.89 and 90.00 degrees. Symmetry generates all atoms from Pr at (0.050, 0.250, 0.196), Tm at (0.162, 0.250, 0.588), Tm at (0.321, 0.750, 0.999), Tm at (0.443, 0.250, 0.333), S at (0.082, 0.750, 0.409), S at (0.121, 0.250, 0.964), S at (0.199, 0.750, 0.749), S at (0.268, 0.750, 0.229), S at (0.394, 0.250, 0.558) and S at (0.478, 0.250, 0.112).

| no. | density (g cm⁻³) | calculated total energy (eV per atom) | energy of formation from the pure elements (meV/atom) |
| --- | --- | --- | --- |
| 1 | 6.463 | -21.13 | -2291 |
| 2 | 5.842 | -23.92 | -2364 |
| 3 | 6.057 | -20.69 | -2396 |